The following is a DFT calculation (PBE with a Hubbard U) of a relaxed Li32Ti13Cr3O48 crystal.

Output
energy relative to the elements = -2839 meV/atom

Unit cell a=5.0864 b=8.8210 c=19.6087 alpha=81.64 beta=85.18 gamma=89.88
Closest atoms and distances in Å follow each position.
Space group P1 (No. 1)
Inequivalent atoms, fractional coordinates:
Li 0.0000 0.0000 0.0000 (multiplicity 1)  6 O 2.10-2.16
Li 0.9997 0.0027 0.5002 (multiplicity 1)  6 O 2.10-2.14
Li 0.1138 0.7963 0.6251 (multiplicity 1)  6 O 2.08-2.25
Li 0.1151 0.7964 0.1244 (multiplicity 1)  6 O 2.08-2.22
Li 0.1222 0.1257 0.6252 (multiplicity 1)  6 O 2.04-2.23
Li 0.1245 0.1271 0.1251 (multiplicity 1)  6 O 2.05-2.20
Li 0.1315 0.4585 0.1247 (multiplicity 1)  6 O 2.09-2.22
Li 0.1339 0.4588 0.6253 (multiplicity 1)  6 O 2.07-2.26
Li 0.2497 0.2521 0.2502 (multiplicity 1)  6 O 2.11-2.14
Li 0.2517 0.2516 0.7504 (multiplicity 1)  6 O 2.09-2.14
Li 0.3649 0.0468 0.3758 (multiplicity 1)  6 O 2.09-2.22
Li 0.3697 0.0475 0.8749 (multiplicity 1)  6 O 2.07-2.22
Li 0.3739 0.3762 0.3755 (multiplicity 1)  6 O 2.05-2.20
Li 0.3749 0.3765 0.8752 (multiplicity 1)  6 O 2.04-2.23
Li 0.3789 0.7067 0.8758 (multiplicity 1)  6 O 2.07-2.26
Li 0.3838 0.7083 0.3752 (multiplicity 1)  6 O 2.08-2.22
Li 0.5003 0.5029 0.0003 (multiplicity 1)  6 O 2.10-2.14
Li 0.4999 0.5025 0.5002 (multiplicity 1)  6 O 2.12-2.15
Li 0.6154 0.2972 0.1251 (multiplicity 1)  6 O 2.09-2.21
Li 0.6181 0.2954 0.6249 (multiplicity 1)  6 O 2.08-2.21
Li 0.6254 0.6268 0.6252 (multiplicity 1)  6 O 2.05-2.20
Li 0.6300 0.6260 0.1248 (multiplicity 1)  6 O 2.05-2.25
Li 0.6328 0.9572 0.1255 (multiplicity 1)  6 O 2.08-2.22
Li 0.6363 0.9592 0.6253 (multiplicity 1)  6 O 2.10-2.22
Li 0.7499 0.7520 0.2501 (multiplicity 1)  6 O 2.11-2.14
Li 0.7506 0.7541 0.7500 (multiplicity 1)  6 O 2.11-2.16
Li 0.8668 0.5470 0.8760 (multiplicity 1)  6 O 2.08-2.22
Li 0.8665 0.5477 0.3748 (multiplicity 1)  6 O 2.09-2.26
Li 0.8757 0.8765 0.8756 (multiplicity 1)  6 O 2.06-2.20
Li 0.8769 0.8762 0.3748 (multiplicity 1)  6 O 2.05-2.24
Li 0.8822 0.2077 0.8749 (multiplicity 1)  6 O 2.09-2.22
Li 0.8830 0.2070 0.3749 (multiplicity 1)  6 O 2.09-2.21
Ti 0.0009 0.6673 0.5002 (multiplicity 1)  6 O 1.96-1.99
Ti 0.2436 0.5860 0.7499 (multiplicity 1)  6 O 1.94-2.02
Ti 0.2487 0.5859 0.2500 (multiplicity 1)  6 O 1.96-1.99
Ti 0.2510 0.9182 0.2500 (multiplicity 1)  6 O 1.97-1.99
Ti 0.2544 0.9193 0.7487 (multiplicity 1)  6 O 1.95-2.03
Ti 0.4988 0.8355 0.9993 (multiplicity 1)  6 O 1.95-2.00
Ti 0.4985 0.8382 0.5004 (multiplicity 1)  6 O 1.96-2.00
Ti 0.5002 0.1685 0.0000 (multiplicity 1)  6 O 1.97-1.99
Ti 0.7441 0.4163 0.7524 (multiplicity 1)  6 O 1.93-2.02
Ti 0.7481 0.0859 0.2501 (multiplicity 1)  6 O 1.97-1.99
Ti 0.7510 0.4183 0.2501 (multiplicity 1)  6 O 1.97-1.99
Ti 0.9961 0.3369 0.0011 (multiplicity 1)  6 O 1.95-2.00
Ti 0.9989 0.3312 0.5003 (multiplicity 1)  6 O 1.95-2.00
Cr 0.0035 0.6675 0.0002 (multiplicity 1)  6 O 1.91-1.98
Cr 0.5011 0.1702 0.5001 (multiplicity 1)  6 O 1.92-2.00
Cr 0.7546 0.0867 0.7502 (multiplicity 1)  6 O 1.91-2.00
O 0.0435 0.0561 0.8073 (multiplicity 1)  1 Cr 1.92, 1 Ti 2.03, 3 Li 2.06-2.14
O 0.0520 0.0546 0.3080 (multiplicity 1)  2 Ti 1.99, 4 Li 2.05-2.15
O 0.0528 0.4113 0.3070 (multiplicity 1)  2 Ti 1.97-1.98, 3 Li 2.09-2.19
O 0.0536 0.4110 0.8070 (multiplicity 1)  2 Ti 1.97, 4 Li 2.10-2.21
O 0.0870 0.7335 0.3068 (multiplicity 1)  2 Ti 1.97-1.98, 4 Li 2.09-2.20
O 0.0900 0.7339 0.8069 (multiplicity 1)  2 Ti 1.96-2.00, 2 Li 2.07-2.13
O 0.1606 0.5198 0.4434 (multiplicity 1)  2 Ti 1.96-2.00, 3 Li 2.09-2.19
O 0.1618 0.5247 0.9441 (multiplicity 1)  1 Cr 1.92, 1 Ti 2.00, 2 Li 2.08-2.12
O 0.1947 0.1990 0.4423 (multiplicity 1)  1 Ti 1.96, 1 Cr 2.00, 4 Li 2.05-2.14
O 0.1966 0.8426 0.4435 (multiplicity 1)  2 Ti 1.97-1.98, 4 Li 2.08-2.20
O 0.1977 0.2008 0.9424 (multiplicity 1)  2 Ti 1.98-2.00, 4 Li 2.04-2.16
O 0.1983 0.8431 0.9434 (multiplicity 1)  1 Ti 1.95, 1 Cr 1.98, 2 Li 2.07-2.10
O 0.2954 0.6603 0.0561 (multiplicity 1)  1 Cr 1.91, 1 Ti 2.00, 2 Li 2.08-2.11
O 0.3024 0.3048 0.0579 (multiplicity 1)  2 Ti 1.99, 4 Li 2.05-2.15
O 0.3037 0.6626 0.5570 (multiplicity 1)  2 Ti 1.97-1.98, 3 Li 2.08-2.19
O 0.3075 0.3013 0.5574 (multiplicity 1)  1 Cr 1.94, 1 Ti 2.00, 3 Li 2.06-2.15
O 0.3382 0.9873 0.5562 (multiplicity 1)  1 Cr 1.96, 1 Ti 1.96, 3 Li 2.11-2.18
O 0.3388 0.9824 0.0571 (multiplicity 1)  2 Ti 1.97-1.98, 4 Li 2.08-2.20
O 0.4124 0.7706 0.1933 (multiplicity 1)  2 Ti 1.97-1.98, 2 Li 2.10-2.12
O 0.4117 0.7712 0.6930 (multiplicity 1)  2 Ti 1.95-1.99, 2 Li 2.09-2.13
O 0.4460 0.0927 0.1935 (multiplicity 1)  2 Ti 1.97-1.98, 3 Li 2.09-2.19
O 0.4471 0.4497 0.1924 (multiplicity 1)  2 Ti 1.98-1.99, 4 Li 2.06-2.16
O 0.4475 0.4492 0.6923 (multiplicity 1)  2 Ti 1.99-2.00, 4 Li 2.05-2.16
O 0.4508 0.0941 0.6946 (multiplicity 1)  1 Cr 1.96, 1 Ti 1.96, 2 Li 2.10
O 0.5523 0.5545 0.3080 (multiplicity 1)  2 Ti 1.99, 4 Li 2.06-2.15
O 0.5532 0.5537 0.8082 (multiplicity 1)  2 Ti 1.95-2.02, 4 Li 2.05-2.16
O 0.5533 0.9115 0.3069 (multiplicity 1)  2 Ti 1.97-1.98, 4 Li 2.10-2.21
O 0.5558 0.9144 0.8060 (multiplicity 1)  1 Cr 1.97, 1 Ti 1.97, 2 Li 2.08-2.11
O 0.5838 0.2347 0.8072 (multiplicity 1)  1 Ti 1.93, 1 Cr 1.99, 2 Li 2.09
O 0.5871 0.2335 0.3068 (multiplicity 1)  2 Ti 1.97-1.98, 3 Li 2.09-2.20
O 0.6610 0.0200 0.9435 (multiplicity 1)  2 Ti 1.97, 3 Li 2.07-2.19
O 0.6613 0.0239 0.4445 (multiplicity 1)  1 Cr 1.94, 1 Ti 1.97, 2 Li 2.09-2.11
O 0.6904 0.3389 0.4443 (multiplicity 1)  1 Cr 1.92, 1 Ti 1.98, 2 Li 2.10-2.12
O 0.6964 0.3430 0.9434 (multiplicity 1)  2 Ti 1.97-1.98, 4 Li 2.09-2.20
O 0.6969 0.7008 0.4423 (multiplicity 1)  2 Ti 1.99-2.00, 4 Li 2.05-2.16
O 0.7014 0.6975 0.9433 (multiplicity 1)  1 Cr 1.97, 1 Ti 1.99, 4 Li 2.06-2.19
O 0.8023 0.8044 0.5580 (multiplicity 1)  2 Ti 1.99, 4 Li 2.05-2.16
O 0.8034 0.1626 0.0568 (multiplicity 1)  2 Ti 1.96-1.97, 3 Li 2.09-2.19
O 0.8048 0.8029 0.0571 (multiplicity 1)  1 Cr 1.97, 1 Ti 2.00, 4 Li 2.05-2.18
O 0.8059 0.1609 0.5570 (multiplicity 1)  1 Ti 1.95, 1 Cr 1.98, 3 Li 2.08-2.17
O 0.8351 0.4838 0.0565 (multiplicity 1)  1 Ti 1.95, 1 Cr 1.98, 3 Li 2.09-2.17
O 0.8393 0.4824 0.5571 (multiplicity 1)  2 Ti 1.98-1.99, 4 Li 2.08-2.21
O 0.9110 0.2648 0.6943 (multiplicity 1)  1 Cr 1.91, 1 Ti 2.02, 2 Li 2.09-2.12
O 0.9122 0.2708 0.1934 (multiplicity 1)  2 Ti 1.97-1.98, 3 Li 2.09-2.19
O 0.9461 0.5927 0.1936 (multiplicity 1)  2 Ti 1.96-1.98, 3 Li 2.09-2.18
O 0.9472 0.5910 0.6934 (multiplicity 1)  2 Ti 1.94-2.02, 2 Li 2.07-2.14
O 0.9469 0.9495 0.1923 (multiplicity 1)  2 Ti 1.99, 4 Li 2.05-2.16
O 0.9507 0.9483 0.6922 (multiplicity 1)  1 Ti 1.97, 1 Cr 2.00, 4 Li 2.04-2.15

The following is a DFT calculation (PBE with a Hubbard U) of a relaxed Li24Ti7Cr5O36 crystal.

Output
energy relative to the elements = -2664 meV/atom
polymorph energy (0 for the lowest one) = 0.003 eV/atom

Unit cell a=5.0616 b=9.8162 c=13.4350 alpha=80.82 beta=79.23 gamma=85.44
Closest atoms and distances in Å follow each position.
Space group P1 (No. 1)
Inequivalent atoms, fractional coordinates:
Li 0.0000 0.0000 0.0000 (multiplicity 1)  6 O 2.11-2.15
Li 0.0133 0.7498 0.6977 (multiplicity 1)  6 O 2.09-2.25
Li 0.0876 0.2500 0.0836 (multiplicity 1)  6 O 2.05-2.20
Li 0.1487 0.7496 0.4712 (multiplicity 1)  6 O 2.08-2.20
Li 0.1642 0.4997 0.1669 (multiplicity 1)  6 O 2.09-2.15
Li 0.1871 0.2486 0.8646 (multiplicity 1)  6 O 2.08-2.26
Li 0.2571 0.7485 0.2500 (multiplicity 1)  6 O 2.04-2.27
Li 0.3103 0.2506 0.6380 (multiplicity 1)  6 O 2.07-2.21
Li 0.3324 0.0003 0.3355 (multiplicity 1)  6 O 2.09-2.14
Li 0.3465 0.7490 0.0297 (multiplicity 1)  6 O 2.09-2.26
Li 0.4243 0.2500 0.4158 (multiplicity 1)  6 O 2.04-2.20
Li 0.4802 0.7499 0.8045 (multiplicity 1)  6 O 2.08-2.21
Li 0.4979 0.4998 0.4996 (multiplicity 1)  6 O 2.09-2.15
Li 0.5174 0.2509 0.1979 (multiplicity 1)  6 O 2.08-2.24
Li 0.5897 0.7499 0.5829 (multiplicity 1)  6 O 2.04-2.24
Li 0.6440 0.2519 0.9698 (multiplicity 1)  6 O 2.07-2.25
Li 0.6666 0.9998 0.6677 (multiplicity 1)  6 O 2.10-2.13
Li 0.6796 0.7512 0.3631 (multiplicity 1)  6 O 2.10-2.27
Li 0.7591 0.2502 0.7494 (multiplicity 1)  6 O 2.04-2.24
Li 0.8171 0.7493 0.1393 (multiplicity 1)  6 O 2.09-2.24
Li 0.8307 0.4999 0.8335 (multiplicity 1)  6 O 2.09-2.15
Li 0.8537 0.2492 0.5304 (multiplicity 1)  6 O 2.08-2.24
Li 0.9218 0.7509 0.9168 (multiplicity 1)  6 O 2.05-2.24
Li 0.9776 0.2495 0.3043 (multiplicity 1)  6 O 2.07-2.22
Ti 0.0581 0.4989 0.3905 (multiplicity 1)  6 O 1.95-2.00
Ti 0.2250 0.9992 0.5549 (multiplicity 1)  6 O 1.96-1.99
Ti 0.3908 0.4996 0.7236 (multiplicity 1)  6 O 1.95-2.00
Ti 0.4457 0.9991 0.1113 (multiplicity 1)  6 O 1.97-2.00
Ti 0.5564 0.0002 0.8886 (multiplicity 1)  6 O 1.97-2.00
Ti 0.7243 0.4995 0.0572 (multiplicity 1)  6 O 1.95-2.00
Ti 0.8865 0.0010 0.2250 (multiplicity 1)  6 O 1.96-2.00
Cr 0.1136 0.9999 0.7763 (multiplicity 1)  6 O 1.93-1.99
Cr 0.2766 0.5005 0.9440 (multiplicity 1)  6 O 1.91-2.01
Cr 0.6105 0.5006 0.2776 (multiplicity 1)  6 O 1.91-2.00
Cr 0.7800 0.9993 0.4469 (multiplicity 1)  6 O 1.91-2.00
Cr 0.9435 0.5004 0.6107 (multiplicity 1)  6 O 1.91-2.01
O 0.0114 0.1117 0.6559 (multiplicity 1)  1 Cr 1.94, 1 Ti 1.99, 2 Li 2.07-2.10
O 0.0324 0.6164 0.0367 (multiplicity 1)  1 Ti 1.96, 1 Cr 2.01, 4 Li 2.05-2.14
O 0.0804 0.3886 0.7258 (multiplicity 1)  1 Cr 1.95, 1 Ti 1.97, 3 Li 2.08-2.15
O 0.0854 0.1137 0.4410 (multiplicity 1)  1 Ti 1.96, 1 Cr 1.96, 2 Li 2.08-2.10
O 0.1303 0.8840 0.1338 (multiplicity 1)  2 Ti 1.98-2.00, 4 Li 2.05-2.17
O 0.1584 0.3855 0.5118 (multiplicity 1)  1 Ti 1.95, 1 Cr 1.99, 2 Li 2.08-2.09
O 0.1769 0.6114 0.8251 (multiplicity 1)  1 Cr 1.91, 1 Ti 1.99, 2 Li 2.08-2.11
O 0.2023 0.1157 0.2026 (multiplicity 1)  2 Ti 1.98-2.00, 4 Li 2.05-2.15
O 0.2451 0.6119 0.6070 (multiplicity 1)  1 Cr 1.94, 1 Ti 1.99, 2 Li 2.11-2.13
O 0.2485 0.8879 0.8930 (multiplicity 1)  1 Cr 1.97, 1 Ti 1.97, 3 Li 2.09-2.16
O 0.3065 0.3855 0.2982 (multiplicity 1)  1 Cr 1.93, 1 Ti 2.00, 3 Li 2.04-2.15
O 0.3207 0.8868 0.6803 (multiplicity 1)  1 Cr 1.94, 1 Ti 1.98, 2 Li 2.09-2.11
O 0.3453 0.1132 0.9875 (multiplicity 1)  2 Ti 1.97-1.98, 4 Li 2.07-2.19
O 0.3659 0.6163 0.3701 (multiplicity 1)  1 Ti 1.96, 1 Cr 2.00, 4 Li 2.04-2.13
O 0.4132 0.1123 0.7718 (multiplicity 1)  1 Cr 1.93, 1 Ti 1.99, 2 Li 2.10
O 0.4136 0.3884 0.0597 (multiplicity 1)  1 Cr 1.96, 1 Ti 1.98, 3 Li 2.09-2.17
O 0.4622 0.8833 0.4663 (multiplicity 1)  1 Ti 1.96, 1 Cr 2.00, 4 Li 2.04-2.14
O 0.4910 0.3862 0.8452 (multiplicity 1)  1 Ti 1.95, 1 Cr 1.99, 3 Li 2.08-2.18
O 0.5110 0.6117 0.1586 (multiplicity 1)  1 Cr 1.91, 1 Ti 1.99, 2 Li 2.09-2.12
O 0.5429 0.1143 0.5339 (multiplicity 1)  1 Cr 1.94, 1 Ti 1.99, 3 Li 2.05-2.13
O 0.5781 0.6117 0.9406 (multiplicity 1)  1 Cr 1.94, 1 Ti 1.99, 2 Li 2.09-2.12
O 0.5824 0.8862 0.2281 (multiplicity 1)  2 Ti 1.97, 4 Li 2.09-2.18
O 0.6396 0.3854 0.6315 (multiplicity 1)  1 Cr 1.93, 1 Ti 2.00, 3 Li 2.05-2.15
O 0.6541 0.8860 0.0125 (multiplicity 1)  2 Ti 1.97, 3 Li 2.09-2.20
O 0.6755 0.1115 0.3243 (multiplicity 1)  1 Ti 1.96, 1 Cr 1.96, 3 Li 2.07-2.16
O 0.6989 0.6166 0.7030 (multiplicity 1)  1 Ti 1.96, 1 Cr 2.01, 4 Li 2.04-2.14
O 0.7468 0.3885 0.3928 (multiplicity 1)  1 Cr 1.95, 1 Ti 1.98, 3 Li 2.09-2.15
O 0.7504 0.1135 0.1081 (multiplicity 1)  2 Ti 1.97, 3 Li 2.10-2.20
O 0.8037 0.8854 0.7972 (multiplicity 1)  1 Cr 1.95, 1 Ti 2.00, 4 Li 2.06-2.17
O 0.8241 0.3862 0.1789 (multiplicity 1)  1 Ti 1.95, 1 Cr 1.98, 2 Li 2.08-2.09
O 0.8447 0.6113 0.4916 (multiplicity 1)  1 Cr 1.91, 1 Ti 1.99, 2 Li 2.08-2.12
O 0.8703 0.1148 0.8682 (multiplicity 1)  1 Ti 1.97, 1 Cr 1.99, 4 Li 2.04-2.18
O 0.9111 0.8879 0.5597 (multiplicity 1)  1 Cr 1.91, 1 Ti 1.98, 2 Li 2.10-2.11
O 0.9129 0.6117 0.2738 (multiplicity 1)  1 Cr 1.94, 1 Ti 1.99, 2 Li 2.11-2.12
O 0.9723 0.3856 0.9650 (multiplicity 1)  1 Cr 1.93, 1 Ti 2.00, 3 Li 2.05-2.15
O 0.9860 0.8883 0.3496 (multiplicity 1)  1 Cr 1.94, 1 Ti 1.98, 2 Li 2.10-2.11